(1)
Compound: Mg3H2S2O10
Source: the Materials Project
Functional: r2SCAN
Structure: optimized geometry

ΔH_f (0 K)   -2.096 eV/atom
Electronic total energy   -7.6965 eV per atom
Crystal system   tetragonal
Space group   P4_12_12, No. 92

Cell lengths 7.4329, 7.4329, 12.9021 Å; angles 90.00, 90.00, 90.00 degrees
Element x y z (fractional)
1 Mg 0.3985 0.1433 0.2440
2 Mg 0.6015 0.8567 0.7440
3 Mg 0.3567 0.8985 0.4940
4 Mg 0.1015 0.6433 0.0060
5 Mg 0.6433 0.1015 0.9940
6 Mg 0.8985 0.3567 0.5060
7 Mg 0.1433 0.3985 0.7560
8 Mg 0.8567 0.6015 0.2560
9 Mg 0.3759 0.3759 0.0000
10 Mg 0.6241 0.6241 0.5000
11 Mg 0.1241 0.8759 0.2500
12 Mg 0.8759 0.1241 0.7500
13 H 0.1784 0.1036 0.3909
14 H 0.8216 0.8964 0.8909
15 H 0.3964 0.6784 0.6409
16 H 0.3216 0.6036 0.8591
17 H 0.6036 0.3216 0.1409
18 H 0.6784 0.3964 0.3591
19 H 0.1036 0.1784 0.6091
20 H 0.8964 0.8216 0.1091
21 S 0.0020 0.2499 0.1225
22 S 0.9980 0.7501 0.6225
23 S 0.2501 0.5020 0.3725
24 S 0.4980 0.7499 0.1275
25 S 0.7499 0.4980 0.8725
26 S 0.5020 0.2501 0.6275
27 S 0.2499 0.0020 0.8775
28 S 0.7501 0.9980 0.3775
29 O 0.1426 0.3884 0.4407
30 O 0.8574 0.6116 0.9407
31 O 0.1116 0.6426 0.6907
32 O 0.3574 0.8884 0.8093
33 O 0.8884 0.3574 0.1907
34 O 0.6426 0.1116 0.3093
35 O 0.3884 0.1426 0.5593
36 O 0.6116 0.8574 0.0593
37 O 0.1244 0.1339 0.1839
38 O 0.8756 0.8661 0.6839
39 O 0.3661 0.6244 0.4339
40 O 0.3756 0.6339 0.0661
41 O 0.6339 0.3756 0.9339
42 O 0.6244 0.3661 0.5661
43 O 0.1339 0.1244 0.8161
44 O 0.8661 0.8756 0.3161
45 O 0.2573 0.0118 0.3627
46 O 0.7427 0.9882 0.8627
47 O 0.4882 0.7573 0.6127
48 O 0.2427 0.5118 0.8873
49 O 0.5118 0.2427 0.1127
50 O 0.7573 0.4882 0.3873
51 O 0.0118 0.2573 0.6373
52 O 0.9882 0.7427 0.1373
53 O 0.3629 0.3919 0.3058
54 O 0.6371 0.6081 0.8058
55 O 0.1081 0.8629 0.5558
56 O 0.1371 0.8919 0.9442
57 O 0.8919 0.1371 0.0558
58 O 0.8629 0.1081 0.4442
59 O 0.3919 0.3629 0.6942
60 O 0.6081 0.6371 0.1942
61 O 0.1170 0.3716 0.0599
62 O 0.8830 0.6284 0.5599
63 O 0.1284 0.6170 0.3099
64 O 0.3830 0.8716 0.1901
65 O 0.8716 0.3830 0.8099
66 O 0.6170 0.1284 0.6901
67 O 0.3716 0.1170 0.9401
68 O 0.6284 0.8830 0.4401

(2)
Compound: MgH14SO11
Source: the Materials Project
Functional: r2SCAN
Structure: optimized geometry

ΔH_f (0 K)   -1.306 eV/atom
Electronic total energy   -5.9828 eV per atom
Crystal system   orthorhombic
Space group   P2_12_12_1, No. 19

Cell lengths 6.7071, 11.8429, 11.7519 Å; angles 90.00, 90.00, 90.00 degrees
Element x y z (fractional)
1 Mg 0.0371 0.4175 0.1061
2 Mg 0.5371 0.0825 0.8939
3 Mg 0.9629 0.9175 0.3939
4 Mg 0.4629 0.5825 0.6061
5 H 0.4845 0.5157 0.8653
6 H 0.9845 0.9843 0.1347
7 H 0.5155 0.0157 0.6347
8 H 0.0155 0.4843 0.3653
9 H 0.5422 0.5643 0.9848
10 H 0.0422 0.9357 0.0152
11 H 0.4578 0.0643 0.5152
12 H 0.9578 0.4357 0.4848
13 H 0.1011 0.5997 0.5006
14 H 0.6011 0.9003 0.4994
15 H 0.8989 0.0997 0.9994
16 H 0.3989 0.4003 0.0006
17 H 0.1741 0.7247 0.5311
18 H 0.6741 0.7753 0.4689
19 H 0.8259 0.2247 0.9689
20 H 0.3259 0.2753 0.0311
21 H 0.7340 0.5817 0.4399
22 H 0.2340 0.9183 0.5601
23 H 0.2660 0.0817 0.0601
24 H 0.7660 0.4183 0.9399
25 H 0.5329 0.6368 0.3890
26 H 0.0329 0.8632 0.6110
27 H 0.4671 0.1368 0.1110
28 H 0.9671 0.3632 0.8890
29 H 0.4827 0.3965 0.4722
30 H 0.9827 0.1035 0.5278
31 H 0.4016 0.7688 0.7259
32 H 0.5173 0.8965 0.0278
33 H 0.2998 0.3803 0.5534
34 H 0.7998 0.1197 0.4466
35 H 0.7002 0.8803 0.9466
36 H 0.2002 0.6197 0.0534
37 H 0.7582 0.4542 0.6848
38 H 0.2582 0.0458 0.3152
39 H 0.2418 0.9542 0.8152
40 H 0.7418 0.5458 0.1848
41 H 0.8139 0.5781 0.7278
42 H 0.3139 0.9219 0.2722
43 H 0.1861 0.0781 0.7722
44 H 0.6861 0.4219 0.2278
45 H 0.2415 0.4532 0.7539
46 H 0.7415 0.0468 0.2461
47 H 0.7585 0.9532 0.7461
48 H 0.2585 0.5468 0.2539
49 H 0.1949 0.5805 0.7761
50 H 0.6949 0.9195 0.2239
51 H 0.8051 0.0805 0.7239
52 H 0.3051 0.4195 0.2761
53 H 0.6352 0.7675 0.6993
54 H 0.1352 0.7325 0.3007
55 H 0.3648 0.2675 0.8007
56 H 0.8648 0.2325 0.1993
57 H 0.0984 0.2312 0.2259
58 H 0.5984 0.2688 0.7741
59 H 0.9016 0.7312 0.2741
60 H 0.0173 0.6035 0.9722
61 S 0.4977 0.7211 0.1773
62 S 0.9977 0.7789 0.8227
63 S 0.5023 0.2211 0.3227
64 S 0.0023 0.2789 0.6773
65 O 0.5573 0.4980 0.9356
66 O 0.0573 0.0020 0.0644
67 O 0.4427 0.9980 0.5644
68 O 0.9427 0.5020 0.4356
69 O 0.2048 0.6443 0.5391
70 O 0.7048 0.8557 0.4609
71 O 0.7952 0.1443 0.9609
72 O 0.2952 0.3557 0.0391
73 O 0.6146 0.6279 0.4575
74 O 0.1146 0.8721 0.5425
75 O 0.3854 0.1279 0.0425
76 O 0.8854 0.3721 0.9575
77 O 0.4238 0.4236 0.5430
78 O 0.9238 0.0764 0.4570
79 O 0.5762 0.9236 0.9570
80 O 0.0762 0.5764 0.0430
81 O 0.7305 0.5353 0.6750
82 O 0.2305 0.9647 0.3250
83 O 0.2695 0.0353 0.8250
84 O 0.7695 0.4647 0.1750
85 O 0.3029 0.5289 0.7528
86 O 0.8029 0.9711 0.2472
87 O 0.6971 0.0289 0.7472
88 O 0.1971 0.4711 0.2528
89 O 0.5049 0.7390 0.6750
90 O 0.0049 0.7610 0.3250
91 O 0.4951 0.2390 0.8250
92 O 0.9951 0.2610 0.1750
93 O 0.1307 0.3238 0.7711
94 O 0.6307 0.1762 0.2289
95 O 0.8693 0.8238 0.7289
96 O 0.3693 0.6762 0.2711
97 O 0.7954 0.3141 0.6986
98 O 0.2954 0.1859 0.3014
99 O 0.2046 0.8141 0.8014
100 O 0.7046 0.6859 0.1986
101 O 0.0158 0.1539 0.6772
102 O 0.5158 0.3461 0.3228
103 O 0.9842 0.6539 0.8228
104 O 0.4842 0.8461 0.1772
105 O 0.0709 0.3238 0.5678
106 O 0.5709 0.1762 0.4322
107 O 0.9291 0.8238 0.9322
108 O 0.4291 0.6762 0.0678

(3)
Compound: Mg2H6Os
Source: the Materials Project
Functional: r2SCAN
Structure: optimized geometry

ΔH_f (0 K)   -0.411 eV/atom
Electronic total energy   -9.5279 eV per atom
Crystal system   cubic
Space group   Fm-3m, No. 225

Cell lengths 4.6918, 4.6918, 4.6918 Å; angles 60.00, 60.00, 60.00 degrees
Element x y z (fractional)
1 Mg 0.7500 0.7500 0.7500
2 Mg 0.2500 0.2500 0.2500
3 H 0.2538 0.7462 0.7462
4 H 0.2538 0.2538 0.7462
5 H 0.2538 0.7462 0.2538
6 H 0.7462 0.2538 0.2538
7 H 0.7462 0.7462 0.2538
8 H 0.7462 0.2538 0.7462
9 Os 0.0000 0.0000 0.0000

(4)
Compound: Rb4Mg3H10
Source: the Materials Project
Functional: r2SCAN
Structure: optimized geometry

ΔH_f (0 K)   -0.329 eV/atom
Electronic total energy   -6.3755 eV per atom
Crystal system   orthorhombic
Space group   Cmce, No. 64

Cell lengths 7.6477, 7.6477, 13.4225 Å; angles 90.00, 90.00, 133.87 degrees
Element x y z (fractional)
1 Rb 0.0408 0.9592 0.6392
2 Rb 0.9592 0.0408 0.3608
3 Rb 0.4592 0.5408 0.1392
4 Rb 0.5408 0.4592 0.8608
5 Rb 0.2428 0.7572 0.8948
6 Rb 0.7572 0.2428 0.1052
7 Rb 0.2572 0.7428 0.3948
8 Rb 0.7428 0.2572 0.6052
9 Mg 0.5000 0.5000 0.5000
10 Mg 0.0000 0.0000 0.0000
11 Mg 0.3768 0.6232 0.6563
12 Mg 0.6232 0.3768 0.3437
13 Mg 0.1232 0.8768 0.1563
14 Mg 0.8768 0.1232 0.8437
15 H 0.2429 0.7571 0.6475
16 H 0.7571 0.2429 0.3525
17 H 0.2571 0.7429 0.1475
18 H 0.7429 0.2571 0.8525
19 H 0.0266 0.9734 0.8563
20 H 0.9734 0.0266 0.1437
21 H 0.4734 0.5266 0.3563
22 H 0.5266 0.4734 0.6437
23 H 0.1381 0.3619 0.7500
24 H 0.3619 0.1381 0.2500
25 H 0.8619 0.6381 0.2500
26 H 0.6381 0.8619 0.7500
27 H 0.3850 0.1874 0.4610
28 H 0.1874 0.3850 0.5390
29 H 0.6874 0.8850 0.9610
30 H 0.8850 0.6874 0.0390
31 H 0.8126 0.6150 0.4610
32 H 0.6150 0.8126 0.5390
33 H 0.3126 0.1150 0.0390
34 H 0.1150 0.3126 0.9610

(5)
Compound: Mg3ReH7
Source: the Materials Project
Functional: r2SCAN
Structure: optimized geometry

ΔH_f (0 K)   -0.316 eV/atom
Electronic total energy   -8.4166 eV per atom
Crystal system   hexagonal
Space group   P6_3/mmc, No. 194

Cell lengths 4.8245, 4.8245, 10.5465 Å; angles 90.00, 90.00, 120.00 degrees
Element x y z (fractional)
1 Mg 0.3333 0.6667 0.4320
2 Mg 0.6666 0.3334 0.5680
3 Mg 0.6666 0.3333 0.9320
4 Mg 0.3333 0.6667 0.0681
5 Mg 0.0001 0.0000 0.2500
6 Mg 0.0001 0.0000 0.7500
7 Re 0.0000 0.0000 0.5000
8 Re 0.9999 0.0000 0.0000
9 H 0.1688 0.8312 0.9021
10 H 0.1688 0.3376 0.9021
11 H 0.6624 0.8312 0.9021
12 H 0.8312 0.1688 0.0979
13 H 0.8312 0.6624 0.0979
14 H 0.3376 0.1688 0.0979
15 H 0.8312 0.1688 0.4021
16 H 0.8312 0.6624 0.4021
17 H 0.3376 0.1688 0.4021
18 H 0.1688 0.8312 0.5978
19 H 0.1688 0.3375 0.5979
20 H 0.6624 0.8312 0.5979
21 H 0.3333 0.6667 0.2500
22 H 0.6667 0.3333 0.7500

(6)
Compound: SrMgH4
Source: the Materials Project
Functional: r2SCAN
Structure: optimized geometry

ΔH_f (0 K)   -0.478 eV/atom
Electronic total energy   -6.0006 eV per atom
Crystal system   orthorhombic
Space group   Cmc2_1, No. 36

Cell lengths 7.0224, 7.0224, 5.5762 Å; angles 90.00, 90.00, 32.74 degrees
Element x y z (fractional)
1 Sr 0.8489 0.8489 0.7546
2 Sr 0.1511 0.1511 0.2546
3 Mg 0.5850 0.5850 0.7086
4 Mg 0.4150 0.4150 0.2086
5 H 0.6660 0.6660 0.9853
6 H 0.3340 0.3340 0.4853
7 H 0.7005 0.7005 0.5083
8 H 0.2995 0.2995 0.0083
9 H 0.9260 0.9260 0.1776
10 H 0.0740 0.0740 0.6776
11 H 0.4614 0.4614 0.8665
12 H 0.5386 0.5386 0.3665

(7)
Compound: Sr2MgH6
Source: the Materials Project
Functional: r2SCAN
Structure: optimized geometry

ΔH_f (0 K)   -0.529 eV/atom
Electronic total energy   -6.6617 eV per atom
Crystal system   trigonal
Space group   P-3m1, No. 164

Cell lengths 5.4754, 5.4754, 4.1885 Å; angles 90.00, 90.00, 120.00 degrees
Element x y z (fractional)
1 Sr 0.6667 0.3333 0.2635
2 Sr 0.3333 0.6667 0.7365
3 Mg 0.0000 0.0000 0.0000
4 H 0.8235 0.6469 0.7652
5 H 0.8235 0.1765 0.7652
6 H 0.3531 0.1765 0.7652
7 H 0.1765 0.3531 0.2348
8 H 0.1765 0.8235 0.2348
9 H 0.6469 0.8235 0.2348

(8)
Compound: Mg3TcH7
Source: the Materials Project
Functional: r2SCAN
Structure: optimized geometry

ΔH_f (0 K)   -0.346 eV/atom
Electronic total energy   -6.0426 eV per atom
Crystal system   hexagonal
Space group   P6_3/mmc, No. 194

Cell lengths 4.8075, 4.8075, 10.4586 Å; angles 90.00, 90.00, 120.00 degrees
Element x y z (fractional)
1 Mg 0.0000 0.0000 0.2500
2 Mg 0.0000 0.0000 0.7500
3 Mg 0.3333 0.6667 0.4321
4 Mg 0.6667 0.3333 0.5679
5 Mg 0.6667 0.3333 0.9321
6 Mg 0.3333 0.6667 0.0679
7 Tc 0.0000 0.0000 0.5000
8 Tc 0.0000 0.0000 0.0000
9 H 0.3333 0.6667 0.2500
10 H 0.6667 0.3333 0.7500
11 H 0.1686 0.8314 0.9018
12 H 0.1686 0.3373 0.9018
13 H 0.6627 0.8314 0.9018
14 H 0.8314 0.1686 0.0982
15 H 0.8314 0.6627 0.0982
16 H 0.3373 0.1686 0.0982
17 H 0.8314 0.1686 0.4018
18 H 0.8314 0.6627 0.4018
19 H 0.3373 0.1686 0.4018
20 H 0.1686 0.8314 0.5982
21 H 0.1686 0.3373 0.5982
22 H 0.6627 0.8314 0.5982

(9)
Compound: Mn3H2O6
Source: the Materials Project
Functional: r2SCAN
Structure: optimized geometry

ΔH_f (0 K)   -1.812 eV/atom
Electronic total energy   -9.7025 eV per atom
Crystal system   monoclinic
Space group   C2/m, No. 12

Cell lengths 7.5138, 7.5138, 4.5809 Å; angles 89.66, 89.66, 22.15 degrees
Element x y z (fractional)
1 Mn 0.0000 0.0000 0.5000
2 Mn 0.6449 0.6449 0.0276
3 Mn 0.3551 0.3551 0.9724
4 H 0.8186 0.8186 0.4046
5 H 0.1814 0.1814 0.5954
6 O 0.4551 0.4551 0.2748
7 O 0.5449 0.5449 0.7252
8 O 0.8859 0.8859 0.7198
9 O 0.1141 0.1141 0.2802
10 O 0.7954 0.7954 0.2016
11 O 0.2046 0.2046 0.7984

(10)
Compound: MnH2O2
Source: the Materials Project
Functional: r2SCAN
Structure: optimized geometry

ΔH_f (0 K)   -1.425 eV/atom
Electronic total energy   -8.1332 eV per atom

Cell lengths 3.3172, 9.2530, 3.3145 Å; angles 90.10, 60.00, 90.02 degrees
Element x y z (fractional)
1 Mn 0.9128 0.9889 0.0110
2 Mn 0.9130 0.4888 0.0109
3 H 0.5792 0.2686 0.6793
4 H 0.5791 0.7685 0.6794
5 H 0.2448 0.2094 0.3481
6 H 0.2449 0.7094 0.3481
7 O 0.5790 0.3731 0.6782
8 O 0.5788 0.8731 0.6783
9 O 0.2455 0.1049 0.3460
10 O 0.2457 0.6049 0.3459

(11)
Compound: MnP2HO7
Source: the Materials Project
Functional: r2SCAN
Structure: optimized geometry

ΔH_f (0 K)   -2.171 eV/atom
Electronic total energy   -9.2577 eV per atom
Crystal system   monoclinic
Space group   P2_1/c, No. 14

Cell lengths 12.6004, 4.9297, 8.5411 Å; angles 66.44, 90.00, 90.00 degrees
Element x y z (fractional)
1 Mn 0.1254 0.1307 0.4948
2 Mn 0.3746 0.1307 0.9948
3 Mn 0.8746 0.8693 0.5052
4 Mn 0.6254 0.8693 0.0052
5 P 0.0381 0.4020 0.7503
6 P 0.4619 0.4020 0.2503
7 P 0.9619 0.5980 0.2497
8 P 0.5381 0.5980 0.7497
9 P 0.3240 0.8208 0.7413
10 P 0.1760 0.8208 0.2413
11 P 0.6760 0.1792 0.2587
12 P 0.8240 0.1792 0.7587
13 H 0.1726 0.4821 0.8944
14 H 0.3274 0.4821 0.3944
15 H 0.8274 0.5179 0.1056
16 H 0.6726 0.5179 0.6056
17 O 0.4303 0.7438 0.6640
18 O 0.0697 0.7438 0.1640
19 O 0.5697 0.2562 0.3360
20 O 0.9303 0.2562 0.8360
21 O 0.0992 0.1885 0.6978
22 O 0.4008 0.1885 0.1978
23 O 0.9008 0.8115 0.3022
24 O 0.5992 0.8115 0.8022
25 O 0.2913 0.5395 0.8893
26 O 0.2087 0.5395 0.3893
27 O 0.7087 0.4605 0.1107
28 O 0.7913 0.4605 0.6107
29 O 0.0131 0.6938 0.5980
30 O 0.4869 0.6938 0.0980
31 O 0.9869 0.3062 0.4020
32 O 0.5131 0.3062 0.9020
33 O 0.3511 0.0743 0.7916
34 O 0.1489 0.0743 0.2916
35 O 0.6489 0.9257 0.2084
36 O 0.8511 0.9257 0.7084
37 O 0.2477 0.9074 0.5933
38 O 0.2523 0.9074 0.0933
39 O 0.7523 0.0926 0.4067
40 O 0.7477 0.0926 0.9067
41 O 0.0927 0.4516 0.8958
42 O 0.4073 0.4516 0.3958
43 O 0.9073 0.5484 0.1042
44 O 0.5927 0.5484 0.6042